1.
This record from the Materials Project database describes a relaxed GaCoMo6O40 crystal. The functional is GGA+U.

Summary:
For the total energy, the calculation gives -269.8 eV/f.u. The volume is 17.38 A^3/atom. The value obtained for the formation energy is -0.365 eV per atom. The space group is No. 2.

a b c (Å): 6.9142 11.2112 11.3195
angles (deg): 98.30 95.83 103.92
Positions (direct):
O 0.3028 0.5138 0.1040
Mo 0.0978 0.3254 0.1105
Mo 0.5337 0.4294 0.6998
O 0.2875 0.6124 0.3803
Mo 0.8550 0.7602 0.1854
O 0.3978 0.0243 0.1111
O 0.4826 0.8845 0.9088
O 0.8513 0.0944 0.4519
Mo 0.9022 0.6746 0.8895
O 0.5854 0.6640 0.0093
O 0.5710 0.8074 0.5709
O 0.9787 0.1707 0.4015
O 0.4290 0.1926 0.4291
O 0.6811 0.5413 0.1349
Mo 0.4663 0.5706 0.3002
O 0.9047 0.3658 0.1786
O 0.9592 0.2805 0.4006
O 0.9893 0.6910 0.0595
O 0.8753 0.9100 0.1596
O 0.5925 0.7262 0.2458
Co 0.5000 0.5000 0.0000
O 0.4075 0.2738 0.7542
O 0.0841 0.1722 0.1244
O 0.3437 0.4419 0.5943
O 0.0953 0.6342 0.8214
O 0.7125 0.3876 0.6197
O 0.5043 0.0550 0.6510
O 0.4146 0.3360 0.9907
O 0.3471 0.3916 0.2330
O 0.6972 0.4862 0.8960
O 0.1487 0.9056 0.5481
O 0.3189 0.4587 0.8651
Mo 0.1450 0.2398 0.8146
O 0.6529 0.6084 0.7670
O 0.0408 0.7195 0.5994
O 0.4507 0.7616 0.6352
O 0.5174 0.1155 0.0912
Ga 0.5000 0.0000 0.5000
O 0.0107 0.3090 0.9405
O 0.4957 0.9450 0.3490
O 0.6022 0.9757 0.8889
O 0.6563 0.5581 0.4057
O 0.9159 0.8278 0.8756
O 0.5493 0.2384 0.3648
O 0.1247 0.0900 0.8404
O 0.9792 0.2281 0.6861
O 0.0213 0.8293 0.5985
O 0.0208 0.7719 0.3139



2.
This record from the Materials Project database describes a relaxed Ga2CoP3NO14 crystal. The functional is GGA+U.

Summary:
For the total energy, the calculation gives -130.0 eV/f.u. The volume is 14.11 A^3/atom. The value obtained for the formation energy is -1.629 eV per atom. The space group is No. 15.

a b c (Å): 8.4180 8.4180 9.1253
angles (deg): 74.75 74.75 76.57
Positions (direct):
O 0.0154 0.4683 0.3398
O 0.8623 0.0197 0.8875
O 0.7690 0.6693 0.4595
O 0.9693 0.1805 0.2963
O 0.7148 0.4717 0.3231
O 0.4683 0.0154 0.8398
Co 0.7225 0.2775 0.2500
O 0.7018 0.8724 0.6660
O 0.2035 0.6139 0.9620
O 0.6693 0.7690 0.9595
P 0.5783 0.8446 0.8256
O 0.5317 0.9846 0.1602
Ga 0.7468 0.8958 0.0702
Ga 0.2532 0.1042 0.9298
O 0.9846 0.5317 0.6602
O 0.8724 0.7018 0.1660
O 0.1805 0.9693 0.7963
N 0.6371 0.3629 0.7500
Ga 0.1042 0.2532 0.4298
O 0.1377 0.9803 0.1125
P 0.1554 0.4217 0.6744
O 0.8195 0.0307 0.2037
O 0.2852 0.5283 0.6769
O 0.4717 0.7148 0.8231
P 0.0082 0.9918 0.7500
N 0.3629 0.6371 0.2500
O 0.3307 0.2310 0.0405
O 0.7965 0.3861 0.0380
O 0.0307 0.8195 0.7037
O 0.6139 0.2035 0.4620
P 0.8446 0.5783 0.3256
P 0.4217 0.1554 0.1744
O 0.2982 0.1276 0.3340
O 0.2310 0.3307 0.5405
Ga 0.8958 0.7468 0.5702
O 0.1276 0.2982 0.8340
P 0.9918 0.0082 0.2500
O 0.9803 0.1377 0.6125
O 0.3861 0.7965 0.5380
O 0.0197 0.8623 0.3875
Co 0.2775 0.7225 0.7500
O 0.5283 0.2852 0.1769



3.
This record from the Materials Project database describes a relaxed Ga2CoO4 crystal. The functional is GGA+U.

Summary:
For the total energy, the calculation gives -41.0 eV/f.u. The volume is 10.70 A^3/atom. The value obtained for the formation energy is -1.779 eV per atom. The space group is No. 8. For the energy above the lowest structure with this stoichiometry, the calculation gives 247.1 meV/atom.

a b c (Å): 5.9603 5.9603 19.7032
angles (deg): 81.63 81.63 60.25
Positions (direct):
O 0.5667 0.5667 0.8168
O 0.1859 0.7091 0.4372
O 0.6841 0.6841 0.4302
Ga 0.7493 0.7493 0.2521
Ga 0.1319 0.6219 0.1244
O 0.8200 0.2786 0.5651
Ga 0.3494 0.3494 0.4697
O 0.3172 0.3172 0.5672
O 0.9304 0.9304 0.1860
Ga 0.0995 0.0995 0.2196
O 0.1803 0.1803 0.4361
O 0.0556 0.5501 0.8154
O 0.8154 0.8154 0.0678
O 0.4433 0.9526 0.6842
O 0.9526 0.4433 0.6842
O 0.3238 0.3238 0.0645
O 0.3165 0.7813 0.0632
Ga 0.3728 0.8784 0.8737
Co 0.1529 0.1529 0.0298
O 0.9332 0.9332 0.6852
O 0.4346 0.4346 0.6834
Ga 0.8784 0.3728 0.8737
O 0.2786 0.8200 0.5651
Ga 0.4993 0.4993 0.0020
O 0.2088 0.6831 0.9366
O 0.5670 0.0305 0.3136
O 0.0305 0.5670 0.3136
Ga 0.8717 0.3821 0.3747
O 0.0653 0.0653 0.3178
O 0.6831 0.2088 0.9366
Ga 0.9993 0.9993 0.5026
Co 0.4026 0.4026 0.2812
Ga 0.3821 0.8717 0.3747
Co 0.6231 0.6231 0.1247
O 0.8260 0.8260 0.5657
Co 0.8730 0.8730 0.3749
Ga 0.6285 0.1242 0.6251
Ga 0.9006 0.9006 0.7820
Ga 0.6000 0.6000 0.7164
Co 0.1247 0.1247 0.6266
O 0.6793 0.6793 0.9367
Co 0.3738 0.3738 0.8726
Co 0.2504 0.2504 0.7496
Ga 0.1242 0.6285 0.6251
O 0.4587 0.9360 0.1869
O 0.9360 0.4587 0.1869
O 0.5501 0.0556 0.8154
O 0.0641 0.0641 0.8157
O 0.7813 0.3165 0.0632
Co 0.6523 0.6523 0.5324
Ga 0.8492 0.8492 0.9694
O 0.5742 0.5742 0.3148
O 0.4342 0.4342 0.1794
O 0.7091 0.1859 0.4372
O 0.1830 0.1830 0.9267
Ga 0.6219 0.1319 0.1244